1.
A plane-wave DFT calculation with PBE-GGA was carried out for a geometry-optimized BeH8Cl2O4 structure.

Lattice parameters (Å, degrees): 6.663 13.123 7.933 90.00 104.01 90.00
Fractional positions:
Be1 0.186 0.092 0.264
Be2 0.186 0.408 0.764
Be3 0.814 0.592 0.236
Be4 0.814 0.908 0.736
H1 0.011 0.163 0.450
H2 0.011 0.337 0.950
H3 0.112 0.658 0.422
H4 0.112 0.842 0.922
H5 0.140 0.540 0.368
H6 0.140 0.960 0.868
H7 0.224 0.117 0.566
H8 0.224 0.383 0.066
H9 0.261 0.580 0.862
H10 0.261 0.920 0.362
H11 0.361 0.149 0.067
H12 0.361 0.351 0.567
H13 0.411 0.538 0.744
H14 0.411 0.962 0.244
H15 0.476 0.187 0.263
H16 0.476 0.313 0.763
H17 0.524 0.687 0.237
H18 0.524 0.813 0.737
H19 0.589 0.038 0.756
H20 0.589 0.462 0.256
H21 0.639 0.649 0.433
H22 0.639 0.851 0.933
H23 0.739 0.080 0.638
H24 0.739 0.420 0.138
H25 0.776 0.617 0.934
H26 0.776 0.883 0.434
H27 0.860 0.040 0.132
H28 0.860 0.460 0.632
H29 0.888 0.158 0.078
H30 0.888 0.342 0.578
H31 0.989 0.663 0.050
H32 0.989 0.837 0.550
Cl1 0.264 0.707 0.019
Cl2 0.264 0.793 0.519
Cl3 0.326 0.075 0.822
Cl4 0.326 0.425 0.322
Cl5 0.674 0.575 0.678
Cl6 0.674 0.925 0.178
Cl7 0.736 0.207 0.481
Cl8 0.736 0.293 0.981
O1 0.037 0.593 0.379
O2 0.037 0.907 0.879
O3 0.152 0.137 0.445
O4 0.152 0.363 0.945
O5 0.287 0.521 0.789
O6 0.287 0.979 0.289
O7 0.342 0.166 0.185
O8 0.342 0.334 0.685
O9 0.658 0.666 0.315
O10 0.658 0.834 0.815
O11 0.713 0.021 0.711
O12 0.713 0.479 0.211
O13 0.848 0.637 0.055
O14 0.848 0.863 0.555
O15 0.963 0.093 0.121
O16 0.963 0.407 0.621

Values from the calculation:
For the total moment, the calculation gives 0.00 μB/cell. As for the symmetry: No. 14. Its crystal system is monoclinic.

2.
A plane-wave DFT calculation with PBE-GGA was carried out for a geometry-optimized SiO2 structure.

Lattice parameters (Å, degrees): 12.717 12.717 5.285 90.00 90.00 117.23
Fractional positions:
Si1 0.016 0.368 0.750
Si2 0.078 0.159 0.750
Si3 0.127 0.641 0.750
Si4 0.159 0.078 0.250
Si5 0.359 0.873 0.750
Si6 0.368 0.016 0.250
Si7 0.632 0.984 0.750
Si8 0.641 0.127 0.250
Si9 0.841 0.922 0.750
Si10 0.873 0.359 0.250
Si11 0.922 0.841 0.250
Si12 0.984 0.632 0.250
O1 0.062 0.938 0.250
O2 0.066 0.664 0.000
O3 0.066 0.664 0.500
O4 0.089 0.291 0.750
O5 0.113 0.507 0.750
O6 0.143 0.143 0.000
O7 0.143 0.143 0.500
O8 0.268 0.732 0.750
O9 0.291 0.089 0.250
O10 0.336 0.934 0.000
O11 0.336 0.934 0.500
O12 0.493 0.887 0.750
O13 0.507 0.113 0.250
O14 0.664 0.066 0.000
O15 0.664 0.066 0.500
O16 0.709 0.911 0.750
O17 0.732 0.268 0.250
O18 0.857 0.857 0.000
O19 0.857 0.857 0.500
O20 0.887 0.493 0.250
O21 0.911 0.709 0.250
O22 0.934 0.336 0.000
O23 0.934 0.336 0.500
O24 0.938 0.062 0.750

Values from the calculation:
As for the symmetry: No. 63. Its crystal system is orthorhombic.

Final energy / eV/atom: -4.827, -7.905